Compound: Ho4CoSn8
Source: the Materials Project
Functional: GGA-PBE
Structure: optimized geometry

Computed properties:
**Formation energy**: -513 meV per atom
**Uncorrected energy**: -4.938 eV/atom
**Total moment**: 0.0 μB per formula unit

extended XYZ file:
```
13
Lattice="3.173 1.042 2.839 -0.585 -3.874 2.075 11.315 -7.088 -10.045" Properties=species:S:1:pos:R:3 pbc="T T T"
Ho 1.903 -0.435 -0.275
Ho 7.303 -5.937 -4.291
Ho 6.574 -3.966 -0.816
Ho 12.563 -5.597 -6.910
Co 4.263 -1.913 -2.370
Sn 5.917 -2.949 -3.839
Sn 11.109 -8.322 -7.670
Sn 2.796 -1.600 2.537
Sn 8.842 -3.266 -3.607
Sn 3.170 -3.349 -0.622
Sn 9.226 -5.022 -6.777
Sn 5.074 -0.906 -0.262
Sn 10.625 -6.504 -4.412
```